TbCo4B4 after structural relaxation, computed with GGA-PBE.

Values from the calculation:
Raw total energy   -7.139 eV/atom
Energy of formation from the pure elements   -497 meV/atom
Crystal system   tetragonal

CIF file:
```
data_TbCo4B4
_cell_length_a 5.000
_cell_length_b 5.000
_cell_length_c 6.978
_cell_angle_alpha 90.00
_cell_angle_beta 90.00
_cell_angle_gamma 90.00
_space_group_name_H-M_alt 'P 42/n m c'
_space_group_IT_number 137
loop_
_space_group_symop_operation_xyz
'x,y,z'
'-x,-y,-z'
'-y+1/2,x,z+1/2'
'y+1/2,-x,-z+1/2'
'-x+1/2,-y+1/2,z'
'x+1/2,y+1/2,-z'
'y,-x+1/2,z+1/2'
'-y,x+1/2,-z+1/2'
'x+1/2,-y,-z'
'-x+1/2,y,z'
'-y,-x,-z+1/2'
'y,x,z+1/2'
'-x,y+1/2,-z'
'x,-y+1/2,z'
'y+1/2,x+1/2,-z+1/2'
'-y+1/2,-x+1/2,z+1/2'
loop_
_atom_site_label
_atom_site_type_symbol
_atom_site_fract_x
_atom_site_fract_y
_atom_site_fract_z
Tb1 Tb 0.250 0.750 0.250
Co1 Co 0.004 0.750 0.613
B1 B 0.076 0.250 0.092
```